[1]
A relaxed structure of LiVP2O7, computed with GGA+U.

Unit cell a=9.753 b=8.280 c=13.349 alpha=90.00 beta=110.03 gamma=90.00
Space group C2/c (No. 15)
Asymmetric unit:
Li 0.127 0.109 0.150 x8
V 0.137 0.265 0.641 x8
P 0.128 0.459 0.430 x8
P 0.169 0.077 0.862 x8
O 0.006 0.452 0.641 x8
O 0.022 0.089 0.881 x8
O 0.092 0.307 0.482 x8
O 0.182 0.087 0.313 x8
O 0.202 0.221 0.801 x8
O 0.205 0.410 0.023 x8
O 0.241 0.428 0.375 x8

Computed properties:
E_form = -29.9 eV/f.u.

=====

[2]
A relaxed structure of LiVP2O7, computed with GGA+U.

Unit cell a=6.214 b=6.472 c=7.987 alpha=97.31 beta=105.05 gamma=112.87
Space group P-1 (No. 2)
Asymmetric unit:
Li 0.000 0.000 0.000 x1
Li 0.000 0.000 0.500 x1
V 0.389 0.690 0.231 x2
P 0.174 0.449 0.780 x2
P 0.433 0.223 0.313 x2
O 0.104 0.657 0.311 x2
O 0.258 0.252 0.769 x2
O 0.264 0.608 0.965 x2
O 0.272 0.325 0.207 x2
O 0.281 0.601 0.649 x2
O 0.381 0.994 0.192 x2
O 0.400 0.201 0.495 x2

Computed properties:
E_form = -29.2 eV/f.u.

=====

[3]
A relaxed structure of LiVP2O8, computed with GGA+U.

Unit cell a=8.860 b=4.693 c=13.926 alpha=90.00 beta=95.99 gamma=90.00
Space group C2/c (No. 15)
Asymmetric unit:
Li 0.000 0.069 0.250 x4
V 0.000 0.000 0.000 x4
P 0.159 0.480 0.884 x8
O 0.060 0.203 0.884 x8
O 0.100 0.318 0.463 x8
O 0.154 0.372 0.289 x8
O 0.176 0.114 0.076 x8

Computed properties:
E_form = -30.2 eV/f.u.

=====

[4]
A relaxed structure of Li7V3P8O29, computed with GGA+U.

Unit cell a=9.844 b=9.847 c=13.900 alpha=89.85 beta=89.73 gamma=60.08
Space group P1 (No. 1)
Asymmetric unit:
Li 0.000 0.000 0.000 x1
Li 0.002 0.571 0.052 x1
Li 0.331 0.338 0.732 x1
Li 0.340 0.766 0.178 x1
Li 0.345 0.897 0.679 x1
Li 0.430 0.009 0.053 x1
Li 0.442 0.581 0.555 x1
Li 0.565 0.436 0.056 x1
Li 0.577 0.987 0.552 x1
Li 0.682 0.707 0.118 x1
Li 0.763 0.346 0.676 x1
Li 0.895 0.767 0.678 x1
Li 0.900 0.343 0.178 x1
Li 0.981 0.444 0.555 x1
V 0.100 0.235 0.367 x1
V 0.100 0.668 0.866 x1
V 0.233 0.670 0.365 x1
V 0.235 0.102 0.865 x1
V 0.666 0.236 0.867 x1
V 0.671 0.099 0.361 x1
P 0.002 0.004 0.242 x1
P 0.335 0.335 0.487 x1
P 0.336 0.335 0.992 x1
P 0.346 0.901 0.458 x1
P 0.349 0.760 0.960 x1
P 0.437 0.578 0.773 x1
P 0.440 0.985 0.274 x1
P 0.580 0.441 0.274 x1
P 0.580 0.991 0.769 x1
P 0.752 0.894 0.958 x1
P 0.754 0.349 0.458 x1
P 0.894 0.351 0.960 x1
P 0.898 0.757 0.456 x1
P 0.983 0.581 0.272 x1
P 0.989 0.437 0.772 x1
P 0.998 0.004 0.741 x1
O 0.004 0.009 0.134 x1
O 0.008 0.412 0.280 x1
O 0.037 0.186 0.951 x1
O 0.048 0.768 0.436 x1
O 0.138 0.580 0.283 x1
O 0.148 0.002 0.779 x1
O 0.157 0.299 0.789 x1
O 0.158 0.859 0.280 x1
O 0.181 0.341 0.450 x1
O 0.183 0.782 0.949 x1
O 0.184 0.480 0.954 x1
O 0.186 0.049 0.439 x1
O 0.286 0.139 0.284 x1
O 0.298 0.549 0.787 x1
O 0.330 0.753 0.458 x1
O 0.333 0.338 0.596 x1
O 0.339 0.484 0.448 x1
O 0.339 0.920 0.960 x1
O 0.343 0.183 0.955 x1
O 0.353 0.338 0.099 x1
O 0.413 0.589 0.277 x1
O 0.421 0.998 0.769 x1
O 0.422 0.915 0.548 x1
O 0.423 0.672 0.684 x1
O 0.436 0.666 0.048 x1
O 0.450 0.669 0.866 x1
O 0.451 0.891 0.185 x1
O 0.458 0.878 0.367 x1
O 0.482 0.183 0.449 x1
O 0.484 0.340 0.945 x1
O 0.553 0.158 0.788 x1
O 0.572 0.292 0.287 x1
O 0.582 0.010 0.280 x1
O 0.591 0.418 0.773 x1
O 0.653 0.889 0.039 x1
O 0.665 0.428 0.548 x1
O 0.666 0.447 0.185 x1
O 0.667 0.462 0.367 x1
O 0.672 0.920 0.678 x1
O 0.677 0.880 0.858 x1
O 0.743 0.340 0.960 x1
O 0.751 0.921 0.455 x1
O 0.762 0.192 0.439 x1
O 0.765 0.045 0.951 x1
O 0.848 0.151 0.791 x1
O 0.862 0.994 0.286 x1
O 0.876 0.669 0.365 x1
O 0.883 0.450 0.864 x1
O 0.893 0.653 0.181 x1
O 0.896 0.443 0.047 x1
O 0.912 0.668 0.546 x1
O 0.914 0.416 0.683 x1
O 0.917 0.750 0.961 x1
O 0.919 0.332 0.458 x1
O 0.981 0.023 0.634 x1
O 0.992 0.159 0.282 x1
O 0.994 0.590 0.770 x1
O 0.995 0.856 0.778 x1

Computed properties:
E_form = -126.5 eV/f.u.

=====

[5]
A relaxed structure of Li2VP4O13, computed with GGA+U.

Unit cell a=5.082 b=7.942 c=13.745 alpha=80.32 beta=82.53 gamma=81.25
Space group P-1 (No. 2)
Asymmetric unit:
Li 0.079 0.322 0.005 x2
Li 0.355 0.352 0.485 x2
V 0.438 0.054 0.258 x2
P 0.007 0.899 0.150 x2
P 0.136 0.789 0.638 x2
P 0.297 0.667 0.299 x2
P 0.340 0.577 0.818 x2
O 0.034 0.744 0.246 x2
O 0.089 0.824 0.058 x2
O 0.141 0.638 0.735 x2
O 0.166 0.141 0.360 x2
O 0.171 0.038 0.170 x2
O 0.184 0.534 0.917 x2
O 0.239 0.526 0.381 x2
O 0.257 0.710 0.548 x2
O 0.291 0.930 0.659 x2
O 0.295 0.030 0.837 x2
O 0.419 0.816 0.326 x2
O 0.463 0.293 0.190 x2
O 0.499 0.399 0.791 x2

Computed properties:
E_form = -52.4 eV/f.u.

=====

[6]
A relaxed structure of LiVP2O8, computed with GGA+U.

Unit cell a=7.557 b=13.658 c=6.228 alpha=90.00 beta=99.90 gamma=90.00
Space group P2_1/c (No. 14)
Asymmetric unit:
Li 0.117 0.239 0.168 x4
V 0.223 0.589 0.775 x4
P 0.175 0.523 0.265 x4
P 0.361 0.123 0.528 x4
O 0.025 0.007 0.232 x4
O 0.090 0.684 0.718 x4
O 0.201 0.593 0.083 x4
O 0.252 0.214 0.454 x4
O 0.266 0.080 0.728 x4
O 0.268 0.563 0.486 x4
O 0.363 0.045 0.358 x4
O 0.447 0.651 0.851 x4

Computed properties:
E_form = -30.6 eV/f.u.

=====

[7]
A relaxed structure of Li5V3P8O29, computed with GGA+U.

Unit cell a=9.796 b=9.799 c=14.013 alpha=90.29 beta=90.21 gamma=119.98
Space group P1 (No. 1)
Asymmetric unit:
Li 0.000 0.000 0.000 x1
Li 0.002 0.858 0.503 x1
Li 0.104 0.184 0.625 x1
Li 0.237 0.772 0.623 x1
Li 0.322 0.127 0.063 x1
Li 0.416 0.859 0.000 x1
Li 0.422 0.412 0.507 x1
Li 0.554 0.006 0.504 x1
Li 0.655 0.746 0.173 x1
Li 0.664 0.195 0.118 x1
V 0.326 0.522 0.307 x1
V 0.327 0.653 0.817 x1
V 0.758 0.522 0.815 x1
V 0.759 0.092 0.317 x1
V 0.894 0.091 0.810 x1
V 0.896 0.652 0.309 x1
P 0.007 0.855 0.718 x1
P 0.008 0.997 0.220 x1
P 0.099 0.178 0.404 x1
P 0.101 0.783 0.904 x1
P 0.241 0.771 0.402 x1
P 0.243 0.313 0.906 x1
P 0.417 0.409 0.723 x1
P 0.419 0.865 0.219 x1
P 0.550 0.397 0.219 x1
P 0.555 0.999 0.721 x1
P 0.641 0.323 0.407 x1
P 0.643 0.179 0.902 x1
P 0.661 0.756 0.433 x1
P 0.664 0.759 0.935 x1
P 0.991 0.421 0.189 x1
P 0.995 0.427 0.693 x1
O 0.068 0.175 0.898 x1
O 0.074 0.754 0.401 x1
O 0.080 0.087 0.493 x1
O 0.081 0.841 0.627 x1
O 0.094 0.072 0.130 x1
O 0.112 0.888 0.985 x1
O 0.118 0.089 0.312 x1
O 0.124 0.878 0.805 x1
O 0.142 0.425 0.233 x1
O 0.145 0.576 0.735 x1
O 0.231 0.612 0.386 x1
O 0.242 0.752 0.905 x1
O 0.246 0.342 0.404 x1
O 0.246 0.471 0.897 x1
O 0.320 0.292 0.808 x1
O 0.322 0.290 0.989 x1
O 0.328 0.853 0.492 x1
O 0.329 0.881 0.311 x1
O 0.331 0.336 0.631 x1
O 0.342 0.870 0.128 x1
O 0.409 0.831 0.726 x1
O 0.415 0.432 0.220 x1
O 0.429 0.570 0.743 x1
O 0.439 0.718 0.232 x1
O 0.511 0.607 0.390 x1
O 0.517 0.767 0.899 x1
O 0.533 0.090 0.811 x1
O 0.533 0.298 0.314 x1
O 0.546 0.300 0.136 x1
O 0.554 0.096 0.991 x1
O 0.564 0.338 0.494 x1
O 0.567 0.080 0.630 x1
O 0.584 0.430 0.729 x1
O 0.588 0.014 0.226 x1
O 0.655 0.905 0.395 x1
O 0.658 0.609 0.889 x1
O 0.664 0.177 0.406 x1
O 0.667 0.756 0.042 x1
O 0.667 0.756 0.539 x1
O 0.669 0.348 0.898 x1
O 0.707 0.561 0.231 x1
O 0.707 0.990 0.743 x1
O 0.800 0.183 0.891 x1
O 0.802 0.473 0.384 x1
O 0.810 0.758 0.388 x1
O 0.818 0.905 0.898 x1
O 0.841 0.275 0.229 x1
O 0.845 0.983 0.233 x1
O 0.848 0.707 0.739 x1
O 0.852 0.430 0.743 x1
O 0.944 0.627 0.893 x1
O 0.948 0.188 0.383 x1
O 0.983 0.827 0.230 x1
O 0.989 0.432 0.084 x1
O 0.991 0.005 0.719 x1
O 0.991 0.434 0.587 x1
O 0.994 0.570 0.239 x1
O 0.998 0.276 0.728 x1

Computed properties:
E_form = -117.8 eV/f.u.

=====

| no. | E (MP2020) (eV/atom) |
| --- | --- |
| 1 | -7.85 |
| 2 | -7.79 |
| 3 | -7.63 |
| 4 | -7.53 |
| 5 | -7.56 |
| 6 | -7.67 |
| 7 | -7.59 |